Density functional theory data (PBE) for a relaxed CaB3O10 crystal.

The value obtained for the electronic total energy is -6.35 eV/atom.

a = 6.2440 Å, b = 7.2456 Å, c = 9.6744 Å
α = 108.02°, β = 95.19°, γ = 102.16°
With the nearest neighbours (Å) after each atom.
Space group P-1 (No. 2)
Inequivalent atoms, fractional coordinates:
Ca 0.2025 0.1729 0.3856  3 O 2.21-2.42
B 0.1151 0.5444 0.2914  2 O 1.29-1.37
B 0.2451 0.5307 0.8981  3 O 1.34-1.39
B 0.3060 0.1822 0.7398  3 O 1.35-1.40
O 0.0521 0.5498 0.8269  2 B 1.37-1.39
O 0.0813 0.8581 0.4274  1 O 1.34
O 0.0835 0.0446 0.0463  1 O 1.22
O 0.1752 0.7688 0.3140  1 O 1.34
O 0.2069 0.9901 0.7323  1 B 1.38
O 0.2195 0.4780 0.3795  1 B 1.29
O 0.3024 0.3491 0.8593  2 B 1.38-1.40
O 0.3606 0.6921 0.0106  1 B 1.34
O 0.3780 0.1942 0.6146  1 B 1.35
O 0.4395 0.7701 0.7083  1 O 2.35, 1 Ca 2.49